1.
This record from the Materials Project describes a relaxed LiVZnO4 crystal. The functional is PBE+U.

The value obtained for the volume is 96 Å³/f.u. The value obtained for the formation energy from the elements is -16.02 eV/f.u. The space group is R3. The total magnetic moment comes out at 0.0 μB per formula unit. For the total energy, the calculation gives -6.23 eV per atom.

CIF file:
```
data_LiVZnO4
_chemical_formula_sum 'Li6 V6 Zn6 O24'
_space_group_name_H-M_alt 'P 1'
_space_group_IT_number 1
_cell_length_a 8.9081
_cell_length_b 8.9081
_cell_length_c 8.9081
_cell_angle_alpha 107.83
_cell_angle_beta 107.83
_cell_angle_gamma 107.83
loop_
_space_group_symop_operation_xyz
'x,y,z'
loop_
_atom_site_label
_atom_site_type_symbol
_atom_site_fract_x
_atom_site_fract_y
_atom_site_fract_z
Li1 Li 0.2036 0.4388 0.6107
Li2 Li 0.4388 0.6107 0.2036
Li3 Li 0.6107 0.2036 0.4388
Li4 Li 0.8955 0.7243 0.1265
Li5 Li 0.7243 0.1265 0.8955
Li6 Li 0.1265 0.8955 0.7243
V1 V 0.5379 0.7665 0.9450
V2 V 0.7665 0.9450 0.5379
V3 V 0.9450 0.5379 0.7665
V4 V 0.4617 0.2329 0.0544
V5 V 0.2329 0.0544 0.4617
V6 V 0.0544 0.4617 0.2329
Zn1 Zn 0.7960 0.5619 0.3891
Zn2 Zn 0.5619 0.3891 0.7960
Zn3 Zn 0.3891 0.7960 0.5619
Zn4 Zn 0.1045 0.2753 0.8729
Zn5 Zn 0.2753 0.8729 0.1045
Zn6 Zn 0.8729 0.1045 0.2753
O1 O 0.3902 0.6867 0.7252
O2 O 0.6867 0.7252 0.3902
O3 O 0.7252 0.3902 0.6867
O4 O 0.6116 0.3163 0.2752
O5 O 0.3163 0.2752 0.6116
O6 O 0.2752 0.6116 0.3163
O7 O 0.6950 0.9835 0.0281
O8 O 0.9835 0.0281 0.6950
O9 O 0.0281 0.6950 0.9835
O10 O 0.3062 0.0170 0.9738
O11 O 0.0170 0.9738 0.3062
O12 O 0.9738 0.3062 0.0170
O13 O 0.4249 0.7543 0.0735
O14 O 0.7543 0.0735 0.4249
O15 O 0.0735 0.4249 0.7543
O16 O 0.5750 0.2455 0.9263
O17 O 0.2455 0.9263 0.5750
O18 O 0.9263 0.5750 0.2455
O19 O 0.6467 0.6347 0.9620
O20 O 0.6347 0.9620 0.6467
O21 O 0.9620 0.6467 0.6347
O22 O 0.3511 0.3633 0.0364
O23 O 0.3633 0.0364 0.3511
O24 O 0.0364 0.3511 0.3633
```

2.
This record from the Materials Project describes a relaxed MgFeC2O6 crystal. The functional is PBE+U.

The value obtained for the volume is 99 Å³/f.u. The value obtained for the formation energy from the elements is -21.20 eV/f.u. The space group is P-1. The total magnetic moment comes out at 4.0 μB per formula unit. For the total energy, the calculation gives -7.30 eV per atom.

CIF file:
```
data_MgFeC2O6
_chemical_formula_sum 'Mg1 Fe1 C2 O6'
_space_group_name_H-M_alt 'P 1'
_space_group_IT_number 1
_cell_length_a 4.7142
_cell_length_b 4.7466
_cell_length_c 5.8343
_cell_angle_alpha 65.73
_cell_angle_beta 114.17
_cell_angle_gamma 120.09
loop_
_space_group_symop_operation_xyz
'x,y,z'
loop_
_atom_site_label
_atom_site_type_symbol
_atom_site_fract_x
_atom_site_fract_y
_atom_site_fract_z
Mg1 Mg 0.0000 0.0000 0.0000
Fe1 Fe 0.5000 0.5000 0.5000
C1 C 0.2511 0.7492 0.7543
C2 C 0.7489 0.2508 0.2457
O1 O 0.2434 0.0182 0.7548
O2 O 0.5303 0.7566 0.7553
O3 O 0.9781 0.4713 0.7534
O4 O 0.4697 0.2434 0.2447
O5 O 0.0219 0.5287 0.2466
O6 O 0.7566 0.9818 0.2452
```